No. 1
# CeGa2Ni

An optimized crystal structure of CeGa2Ni (r2SCAN, the Materials Project).

Properties
Total energy in eV/atom: -17.07
V in A^3/atom: 18.803
Density in Mg/m³: 7.47
Formation energy from the elements in eV per atom: -0.642
M_tot in μB per cell: 1.6
Space-group type: Cmmm, No. 65

a b c (Å): 8.9557 8.9557 4.1424
angles (deg): 90.00 90.00 153.08
With the nearest neighbours (Å) after each atom.
Element x y z (fractional)
1 Ga 0.0000 0.0000 0.5000  4 Ni 2.43
2 Ga 0.7901 0.2099 0.0000  1 Ni 2.39, 2 Ga 2.51
3 Ga 0.5000 0.5000 0.0000  4 Ni 2.44
4 Ga 0.2099 0.7901 0.0000  1 Ni 2.39, 2 Ga 2.51
5 Ce 0.6412 0.3588 0.5000  4 Ni 3.17, 10 Ga 3.17-3.32
6 Ce 0.3588 0.6412 0.5000  4 Ni 3.17, 10 Ga 3.17-3.32
7 Ni 0.0728 0.9272 0.0000  5 Ga 2.39-2.44, 1 Ni 2.54
8 Ni 0.9272 0.0728 0.0000  5 Ga 2.39-2.44, 1 Ni 2.54


No. 2
# Ce2Ga12Ni

An optimized crystal structure of Ce2Ga12Ni (r2SCAN, the Materials Project).

Properties
Total energy in eV/atom: -14.50
V in A^3/atom: 18.471
Density in Mg/m³: 7.05
Formation energy from the elements in eV per atom: -0.439
M_tot in μB per cell: 3.7
Space-group type: P4/nbm, No. 125

a b c (Å): 6.0078 6.0078 15.3525
angles (deg): 90.00 90.00 90.00
With the nearest neighbours (Å) after each atom.
Element x y z (fractional)
1 Ga 0.2505 0.7505 0.9167  2 Ni 2.48, 3 Ga 2.56-2.61
2 Ga 0.1737 0.3263 0.4289  3 Ga 2.54-2.60
3 Ga 0.2503 0.2497 0.0834  2 Ni 2.48, 3 Ga 2.56-2.61
4 Ga 0.0000 0.0000 0.3407  5 Ga 2.44-2.60
5 Ga 0.2497 0.7497 0.0834  2 Ni 2.48, 3 Ga 2.56-2.61
6 Ga 0.5000 0.5000 0.8182  5 Ga 2.44-2.61
7 Ga 0.5000 0.5000 0.1819  5 Ga 2.44-2.61
8 Ga 0.8263 0.6737 0.4289  3 Ga 2.54-2.60
9 Ga 0.7505 0.7495 0.9167  2 Ni 2.48, 3 Ga 2.56-2.61
10 Ga 0.8263 0.3263 0.5711  3 Ga 2.54-2.60
11 Ga 0.7495 0.2495 0.9167  2 Ni 2.48, 3 Ga 2.56-2.61
12 Ga 0.6737 0.8263 0.5711  3 Ga 2.54-2.60
13 Ga 0.0000 0.0000 0.6592  5 Ga 2.44-2.60
14 Ga 0.5000 0.5000 0.3407  5 Ga 2.44-2.60
15 Ga 0.0000 0.0000 0.8182  5 Ga 2.44-2.61
16 Ga 0.5000 0.5000 0.6592  5 Ga 2.44-2.60
17 Ga 0.2495 0.2505 0.9167  2 Ni 2.48, 3 Ga 2.56-2.61
18 Ga 0.3263 0.8263 0.4289  3 Ga 2.54-2.60
19 Ga 0.6737 0.1737 0.4289  3 Ga 2.54-2.60
20 Ga 0.1737 0.6737 0.5711  3 Ga 2.54-2.60
21 Ga 0.7497 0.7503 0.0834  2 Ni 2.48, 3 Ga 2.56-2.61
22 Ga 0.3263 0.1737 0.5711  3 Ga 2.54-2.60
23 Ga 0.0000 0.0000 0.1819  5 Ga 2.44-2.61
24 Ga 0.7503 0.2503 0.0834  2 Ni 2.48, 3 Ga 2.56-2.61
25 Ni 0.0000 0.5000 0.0000  8 Ga 2.48
26 Ni 0.5000 0.0000 0.0000  8 Ga 2.48
27 Ce 0.0000 0.5000 0.2436  14 Ga 3.15-3.35
28 Ce 0.0000 0.5000 0.7564  14 Ga 3.15-3.35
29 Ce 0.5000 0.0000 0.7564  14 Ga 3.15-3.35
30 Ce 0.5000 0.0000 0.2436  14 Ga 3.15-3.35


No. 3
# CeGa4Os

An optimized crystal structure of CeGa4Os (r2SCAN, the Materials Project).

Properties
Total energy in eV/atom: -22.13
V in A^3/atom: 17.929
Density in Mg/m³: 9.40
Formation energy from the elements in eV per atom: -0.531
M_tot in μB per cell: 4.7
Space-group type: Pmma, No. 51

a b c (Å): 7.6441 8.7607 9.6381
angles (deg): 90.00 90.00 90.00
With the nearest neighbours (Å) after each atom.
Element x y z (fractional)
1 Ga 0.3397 0.0000 0.4375  3 Os 2.65-2.67, 5 Ga 2.73-2.77
2 Ga 0.8207 0.2365 0.0768  2 Os 2.57-2.59, 4 Ga 2.69-2.78
3 Ga 0.8207 0.2365 0.4232  2 Os 2.57-2.59, 4 Ga 2.69-2.78
4 Ga 0.8678 0.0000 0.2500  2 Os 2.61, 6 Ga 2.69-2.80
5 Ga 0.4518 0.1556 0.7500  2 Os 2.60, 6 Ga 2.73-2.80
6 Ga 0.4518 0.8444 0.7500  2 Os 2.60, 6 Ga 2.73-2.80
7 Ga 0.6603 0.0000 0.5625  3 Os 2.65-2.67, 5 Ga 2.73-2.77
8 Ga 0.3417 0.5000 0.0865  2 Os 2.57, 1 Ga 2.74
9 Ga 0.0000 0.5000 0.5000  6 Ga 2.74-2.78
10 Ga 0.5482 0.1556 0.2500  2 Os 2.60, 6 Ga 2.73-2.80
11 Ga 0.6603 0.0000 0.9375  3 Os 2.65-2.67, 5 Ga 2.73-2.77
12 Ga 0.0000 0.5000 0.0000  6 Ga 2.74-2.78
13 Ga 0.6583 0.5000 0.5865  2 Os 2.57, 1 Ga 2.74
14 Ga 0.1793 0.7635 0.5768  2 Os 2.57-2.59, 4 Ga 2.69-2.78
15 Ga 0.1793 0.7635 0.9232  2 Os 2.57-2.59, 4 Ga 2.69-2.78
16 Ga 0.3397 0.0000 0.0625  3 Os 2.65-2.67, 5 Ga 2.73-2.77
17 Ga 0.6583 0.5000 0.9135  2 Os 2.57, 1 Ga 2.74
18 Ga 0.1793 0.2365 0.5768  2 Os 2.57-2.59, 4 Ga 2.69-2.78
19 Ga 0.1793 0.2365 0.9232  2 Os 2.57-2.59, 4 Ga 2.69-2.78
20 Ga 0.3417 0.5000 0.4135  2 Os 2.57, 1 Ga 2.74
21 Ga 0.1322 0.0000 0.7500  2 Os 2.61, 6 Ga 2.69-2.80
22 Ga 0.8207 0.7635 0.4232  2 Os 2.57-2.59, 4 Ga 2.69-2.78
23 Ga 0.5482 0.8444 0.2500  2 Os 2.60, 6 Ga 2.73-2.80
24 Ga 0.8207 0.7635 0.0768  2 Os 2.57-2.59, 4 Ga 2.69-2.78
25 Ce 0.1608 0.7511 0.2500  10 Ga 3.04-3.15
26 Ce 0.6765 0.5000 0.2500  10 Ga 3.01-3.25
27 Ce 0.3235 0.5000 0.7500  10 Ga 3.01-3.25
28 Ce 0.8392 0.7511 0.7500  10 Ga 3.04-3.15
29 Ce 0.8392 0.2489 0.7500  10 Ga 3.04-3.15
30 Ce 0.1608 0.2489 0.2500  10 Ga 3.04-3.15
31 Os 0.0000 0.0000 0.5000  8 Ga 2.59-2.67
32 Os 0.5000 0.7407 0.5000  8 Ga 2.57-2.65
33 Os 0.5000 0.7407 0.0000  8 Ga 2.57-2.65
34 Os 0.5000 0.2593 0.0000  8 Ga 2.57-2.65
35 Os 0.5000 0.2593 0.5000  8 Ga 2.57-2.65
36 Os 0.0000 0.0000 0.0000  8 Ga 2.59-2.67


No. 4
# CeGaPd

An optimized crystal structure of CeGaPd (r2SCAN, the Materials Project).

Properties
Total energy in eV/atom: -22.62
V in A^3/atom: 20.977
Density in Mg/m³: 8.35
Formation energy from the elements in eV per atom: -0.871
M_tot in μB per cell: 4.4
Space-group type: Pnma, No. 62

a b c (Å): 4.5895 7.1456 7.6757
angles (deg): 90.00 90.00 90.00
With the nearest neighbours (Å) after each atom.
Element x y z (fractional)
1 Pd 0.2500 0.7140 0.5920  4 Ga 2.65-2.76, 1 Ce 2.92
2 Pd 0.2500 0.2140 0.9080  4 Ga 2.65-2.76, 1 Ce 2.92
3 Pd 0.7500 0.2860 0.4080  4 Ga 2.65-2.76, 1 Ce 2.92
4 Pd 0.7500 0.7860 0.0920  4 Ga 2.65-2.76, 1 Ce 2.92
5 Ce 0.2500 0.4751 0.2005  3 Pd 2.92-3.10, 3 Ga 3.10-3.18
6 Ce 0.7500 0.5249 0.7995  3 Pd 2.92-3.10, 3 Ga 3.10-3.18
7 Ce 0.7500 0.0249 0.7005  3 Pd 2.92-3.10, 3 Ga 3.10-3.18
8 Ce 0.2500 0.9751 0.2995  3 Pd 2.92-3.10, 3 Ga 3.10-3.18
9 Ga 0.2500 0.8275 0.9203  4 Pd 2.65-2.76
10 Ga 0.7500 0.1725 0.0798  4 Pd 2.65-2.76
11 Ga 0.2500 0.3275 0.5798  4 Pd 2.65-2.76
12 Ga 0.7500 0.6725 0.4202  4 Pd 2.65-2.76


No. 5
# CeGa6Pd

An optimized crystal structure of CeGa6Pd (r2SCAN, the Materials Project).

Properties
Total energy in eV/atom: -15.83
V in A^3/atom: 18.451
Density in Mg/m³: 7.48
Formation energy from the elements in eV per atom: -0.523
M_tot in μB per cell: 0.0
Space-group type: P4/mmm, No. 123

a b c (Å): 4.3383 4.3431 7.8339
angles (deg): 90.00 90.00 90.00
With the nearest neighbours (Å) after each atom.
Element x y z (fractional)
1 Ce 0.0000 0.0000 0.0000  16 Ga 3.29-3.36
2 Ga 0.0000 0.5000 0.6726  2 Pd 2.56, 3 Ga 2.57-2.70
3 Ga 0.0000 0.5000 0.3274  2 Pd 2.56, 3 Ga 2.57-2.70
4 Ga 0.5000 0.5000 0.1509  5 Ga 2.36-2.57
5 Ga 0.5000 0.0000 0.6729  2 Pd 2.56, 3 Ga 2.57-2.71
6 Ga 0.5000 0.0000 0.3271  2 Pd 2.56, 3 Ga 2.57-2.71
7 Ga 0.5000 0.5000 0.8491  5 Ga 2.36-2.57
8 Pd 0.0000 0.0000 0.5000  8 Ga 2.56


No. 6
# Ce2Ga9Rh3

An optimized crystal structure of Ce2Ga9Rh3 (r2SCAN, the Materials Project).

Properties
Total energy in eV/atom: -17.68
V in A^3/atom: 16.974
Density in Mg/m³: 8.50
Formation energy from the elements in eV per atom: -0.746
M_tot in μB per cell: 2.9
Space-group type: Cmcm, No. 63

a b c (Å): 7.5836 7.5836 9.5070
angles (deg): 90.00 90.00 119.63
With the nearest neighbours (Å) after each atom.
Element x y z (fractional)
1 Ga 0.9953 0.6653 0.9230  3 Rh 2.62, 4 Ga 2.73-2.93
2 Ga 0.0047 0.3347 0.4230  3 Rh 2.62, 4 Ga 2.73-2.93
3 Ga 0.1295 0.1295 0.2500  2 Rh 2.57, 6 Ga 2.73
4 Ga 0.6610 0.4569 0.7500  2 Rh 2.58, 6 Ga 2.68-2.80
5 Ga 0.6646 0.6646 0.4372  3 Rh 2.63, 5 Ga 2.78-2.84
6 Ga 0.3354 0.3354 0.9372  3 Rh 2.63, 5 Ga 2.78-2.84
7 Ga 0.3354 0.3354 0.5628  3 Rh 2.63, 5 Ga 2.78-2.84
8 Ga 0.8705 0.8705 0.7500  2 Rh 2.57, 6 Ga 2.73
9 Ga 0.0047 0.3347 0.0770  3 Rh 2.62, 4 Ga 2.73-2.93
10 Ga 0.3347 0.0047 0.4230  3 Rh 2.62, 4 Ga 2.73-2.93
11 Ga 0.6653 0.9953 0.9230  3 Rh 2.62, 4 Ga 2.73-2.93
12 Ga 0.6653 0.9953 0.5770  3 Rh 2.62, 4 Ga 2.73-2.93
13 Ga 0.4569 0.6610 0.7500  2 Rh 2.58, 6 Ga 2.68-2.80
14 Ga 0.6646 0.6646 0.0628  3 Rh 2.63, 5 Ga 2.78-2.84
15 Ga 0.3347 0.0047 0.0770  3 Rh 2.62, 4 Ga 2.73-2.93
16 Ga 0.5431 0.3390 0.2500  2 Rh 2.58, 6 Ga 2.68-2.80
17 Ga 0.9953 0.6653 0.5770  3 Rh 2.62, 4 Ga 2.73-2.93
18 Ga 0.3390 0.5431 0.2500  2 Rh 2.58, 6 Ga 2.68-2.80
19 Ce 0.9998 0.3315 0.7500  11 Ga 3.03-3.15
20 Ce 0.6685 0.0002 0.2500  11 Ga 3.03-3.15
21 Ce 0.3315 0.9998 0.7500  11 Ga 3.03-3.15
22 Ce 0.0002 0.6685 0.2500  11 Ga 3.03-3.15
23 Rh 0.0000 0.0000 0.0000  8 Ga 2.57-2.63
24 Rh 0.0000 0.0000 0.5000  8 Ga 2.57-2.63
25 Rh 0.3296 0.6704 0.0000  8 Ga 2.58-2.63
26 Rh 0.6704 0.3296 0.0000  8 Ga 2.58-2.63
27 Rh 0.6704 0.3296 0.5000  8 Ga 2.58-2.63
28 Rh 0.3296 0.6704 0.5000  8 Ga 2.58-2.63


No. 7
# CeGaSi

An optimized crystal structure of CeGaSi (r2SCAN, the Materials Project).

Properties
Total energy in eV/atom: -17.78
V in A^3/atom: 21.476
Density in Mg/m³: 6.13
Formation energy from the elements in eV per atom: -0.760
M_tot in μB per cell: 1.9
Space-group type: C2/m, No. 12

a b c (Å): 4.2239 4.2827 7.7124
angles (deg): 73.87 74.68 90.01
With the nearest neighbours (Å) after each atom.
Element x y z (fractional)
1 Ga 0.4170 0.4165 0.1670  1 Si 2.40, 2 Ga 2.45
2 Ga 0.3330 0.8336 0.3329  1 Si 2.40, 2 Ga 2.45
3 Si 0.1650 0.6653 0.6694  2 Si 2.40-2.41, 1 Ga 2.40
4 Si 0.5849 0.5846 0.8306  2 Si 2.40-2.41, 1 Ga 2.40
5 Ce 0.7474 0.2437 0.5124  6 Si 3.12-3.23, 6 Ga 3.23-3.27
6 Ce 0.0026 0.0063 0.9877  6 Si 3.12-3.23, 6 Ga 3.23-3.27


No. 8
# CeZnGa

An optimized crystal structure of CeZnGa (r2SCAN, the Materials Project).

Properties
Total energy in eV/atom: -17.59
V in A^3/atom: 21.548
Density in Mg/m³: 7.07
Formation energy from the elements in eV per atom: -0.528
M_tot in μB per cell: 2.3
Space-group type: P6_3/mmc, No. 194

a b c (Å): 4.4723 4.4723 7.4636
angles (deg): 90.00 90.00 120.00
With the nearest neighbours (Å) after each atom.
Element x y z (fractional)
1 Ga 0.6667 0.3333 0.7499  3 Zn 2.58
2 Ga 0.3333 0.6667 0.2501  3 Zn 2.58
3 Zn 0.3333 0.6667 0.7499  3 Ga 2.58
4 Zn 0.6667 0.3333 0.2501  3 Ga 2.58
5 Ce 0.0000 0.0000 0.5000  6 Zn 3.19, 6 Ga 3.19
6 Ce 0.0000 0.0000 0.0000  6 Ga 3.19, 6 Zn 3.19


No. 9
# Ce9GdO20

An optimized crystal structure of Ce9GdO20 (r2SCAN, the Materials Project).

Properties
Total energy in eV/atom: -18.34
V in A^3/atom: 13.385
Density in Mg/m³: 7.19
Formation energy from the elements in eV per atom: -3.662
M_tot in μB per cell: 6.0
Space-group type: P-1, No. 2

a b c (Å): 6.6569 7.6878 8.5959
angles (deg): 102.93 97.42 106.78
With the nearest neighbours (Å) after each atom.
Element x y z (fractional)
1 O 0.5510 0.4758 0.3503  4 Ce 2.35-2.36
2 O 0.6463 0.9239 0.0511  3 Ce 2.33-2.34, 1 Gd 2.38
3 O 0.5509 0.9749 0.3507  4 Ce 2.35-2.36
4 O 0.6492 0.4250 0.0496  4 Ce 2.35-2.36
5 O 0.4491 0.0251 0.6493  4 Ce 2.35-2.36
6 O 0.0500 0.2278 0.8482  3 Ce 2.34, 1 Gd 2.38
7 O 0.3508 0.5750 0.9504  4 Ce 2.35-2.36
8 O 0.2517 0.6252 0.2500  4 Ce 2.35-2.36
9 O 0.1499 0.6748 0.5490  4 Ce 2.36-2.37
10 O 0.4490 0.5242 0.6497  4 Ce 2.35-2.36
11 O 0.9500 0.7722 0.1518  3 Ce 2.34, 1 Gd 2.38
12 O 0.8507 0.8254 0.4506  4 Ce 2.35-2.36
13 O 0.3537 0.0761 0.9489  3 Ce 2.33-2.34, 1 Gd 2.38
14 O 0.7483 0.3748 0.7500  4 Ce 2.35-2.36
15 O 0.0507 0.7218 0.8481  3 Ce 2.34-2.35, 1 Gd 2.38
16 O 0.2531 0.1265 0.2525  3 Ce 2.34, 1 Gd 2.38
17 O 0.9493 0.2782 0.1519  3 Ce 2.34-2.35, 1 Gd 2.38
18 O 0.7469 0.8735 0.7475  3 Ce 2.34, 1 Gd 2.38
19 O 0.8501 0.3252 0.4510  4 Ce 2.36-2.37
20 O 0.1493 0.1746 0.5494  4 Ce 2.35-2.36
21 Ce 0.1999 0.9000 0.3990  8 O 2.34-2.36
22 Ce 0.5997 0.1992 0.1991  8 O 2.34-2.37
23 Ce 0.3984 0.2993 0.8003  8 O 2.33-2.36
24 Ce 0.8001 0.1000 0.6010  8 O 2.34-2.36
25 Ce 0.1997 0.3993 0.3992  8 O 2.34-2.36
26 Ce 0.8003 0.6007 0.6008  8 O 2.34-2.36
27 Ce 0.0000 0.5000 0.0000  8 O 2.34-2.36
28 Ce 0.6016 0.7007 0.1997  8 O 2.33-2.36
29 Ce 0.4003 0.8008 0.8009  8 O 2.34-2.37
30 Gd 0.0000 0.0000 0.0000  8 O 2.38


No. 10
# CeGe

An optimized crystal structure of CeGe (r2SCAN, the Materials Project).

Properties
Total energy in eV/atom: -23.21
V in A^3/atom: 25.679
Density in Mg/m³: 6.88
Formation energy from the elements in eV per atom: -0.854
M_tot in μB per cell: 5.6
Space-group type: Pnma, No. 62

a b c (Å): 4.0984 6.0111 8.3388
angles (deg): 90.00 90.01 90.00
With the nearest neighbours (Å) after each atom.
Element x y z (fractional)
1 Ce 0.7501 0.8815 0.8182  7 Ge 3.12-3.32
2 Ce 0.7501 0.6186 0.3181  7 Ge 3.12-3.32
3 Ce 0.2498 0.1185 0.1819  7 Ge 3.12-3.32
4 Ce 0.2499 0.3815 0.6819  7 Ge 3.12-3.32
5 Ge 0.2499 0.6312 0.0365  2 Ge 2.66
6 Ge 0.7501 0.3688 0.9634  2 Ge 2.66
7 Ge 0.7501 0.1312 0.4635  2 Ge 2.66
8 Ge 0.2499 0.8688 0.5366  2 Ge 2.66


No. 11
# Ce4Ge7

An optimized crystal structure of Ce4Ge7 (r2SCAN, the Materials Project).

Properties
Total energy in eV/atom: -20.81
V in A^3/atom: 23.389
Density in Mg/m³: 6.90
Formation energy from the elements in eV per atom: -0.767
M_tot in μB per cell: 8.1
Space-group type: C222_1, No. 20

a b c (Å): 7.6641 7.6641 12.0948
angles (deg): 90.00 90.00 133.59
With the nearest neighbours (Å) after each atom.
Element x y z (fractional)
1 Ge 0.5765 0.4016 0.4890  3 Ge 2.48-2.75
2 Ge 0.6691 0.9715 0.8391  2 Ge 2.56-2.75
3 Ge 0.5984 0.4235 0.0110  3 Ge 2.48-2.75
4 Ge 0.4235 0.5984 0.9890  3 Ge 2.48-2.75
5 Ge 0.0711 0.4157 0.1275  3 Ge 2.56-2.62
6 Ge 0.3309 0.0285 0.3391  2 Ge 2.56-2.75
7 Ge 0.0285 0.3309 0.6609  2 Ge 2.56-2.75
8 Ge 0.4016 0.5765 0.5110  3 Ge 2.48-2.75
9 Ge 0.5843 0.9289 0.3725  3 Ge 2.56-2.62
10 Ge 0.0664 0.9336 0.7500  2 Ge 2.57
11 Ge 0.9715 0.6691 0.1609  2 Ge 2.56-2.75
12 Ge 0.9289 0.5843 0.6275  3 Ge 2.56-2.62
13 Ge 0.9336 0.0664 0.2500  2 Ge 2.57
14 Ge 0.4157 0.0711 0.8725  3 Ge 2.56-2.62
15 Ce 0.4858 0.9969 0.6192  9 Ge 3.07-3.30
16 Ce 0.5042 0.4958 0.7500  10 Ge 3.11-3.37
17 Ce 0.0038 0.0038 0.0000  10 Ge 3.09-3.30
18 Ce 0.5142 0.0031 0.1192  9 Ge 3.07-3.30
19 Ce 0.9962 0.9962 0.5000  10 Ge 3.09-3.30
20 Ce 0.0031 0.5142 0.8808  9 Ge 3.07-3.30
21 Ce 0.9969 0.4858 0.3808  9 Ge 3.07-3.30
22 Ce 0.4958 0.5042 0.2500  10 Ge 3.11-3.37


No. 12
# Ce4Ge3

An optimized crystal structure of Ce4Ge3 (r2SCAN, the Materials Project).

Properties
Total energy in eV/atom: -24.46
V in A^3/atom: 27.866
Density in Mg/m³: 6.63
Formation energy from the elements in eV per atom: -0.890
M_tot in μB per cell: 8.0
Space-group type: I-43d, No. 220

a b c (Å): 7.9727 7.9727 7.9727
angles (deg): 109.47 109.47 109.47
With the nearest neighbours (Å) after each atom.
Element x y z (fractional)
1 Ce 0.3631 0.3631 0.3631  6 Ge 3.04-3.34
2 Ce 0.5000 0.0000 0.1369  6 Ge 3.04-3.34
3 Ce 0.0000 0.1369 0.5000  6 Ge 3.04-3.34
4 Ce 0.0000 0.6369 0.5000  6 Ge 3.04-3.34
5 Ce 0.1369 0.5000 0.0000  6 Ge 3.04-3.34
6 Ce 0.5000 0.0000 0.6369  6 Ge 3.04-3.34
7 Ce 0.6369 0.5000 0.0000  6 Ge 3.04-3.34
8 Ce 0.8631 0.8631 0.8631  6 Ge 3.04-3.34
9 Ge 0.6250 0.7500 0.3750  8 Ce 3.04-3.34
10 Ge 0.3750 0.6250 0.7500  8 Ce 3.04-3.34
11 Ge 0.2500 0.1250 0.8750  8 Ce 3.04-3.34
12 Ge 0.7500 0.3750 0.6250  8 Ce 3.04-3.34
13 Ge 0.1250 0.8750 0.2500  8 Ce 3.04-3.34
14 Ge 0.8750 0.2500 0.1250  8 Ce 3.04-3.34